1.
The following is a DFT calculation (PBE) of an optimized crystal structure of B2Pt3.

* size of the total moment: 0.000 μB/f.u.
* calculated formation energy: -2.3 kcal/mol of atoms

abc: 3.165 3.165 7.368
angles: 90.22 90.22 60.08
Sites, in units of the cell vectors:
B (0.000, 0.000, 0.000)
B (0.000, 0.000, 0.388)
Pt (0.332, 0.332, 0.859)
Pt (0.666, 0.666, 0.546)
Pt (0.668, 0.668, 0.184)



2.
The following is a DFT calculation (PBE) of an optimized crystal structure of NaSr2OsO6.

* size of the total moment: 0.989 μB/f.u.
* calculated formation energy: -53.9 kcal/mol of atoms

abc: 5.788 5.788 5.788
angles: 60.00 60.00 60.00
Sites, in units of the cell vectors:
Na (0.000, 0.000, 0.000)
Sr (0.250, 0.250, 0.250)
Sr (0.750, 0.750, 0.750)
Os (0.500, 0.500, 0.500)
O (0.268, 0.268, 0.732)
O (0.268, 0.732, 0.268)
O (0.268, 0.732, 0.732)
O (0.732, 0.268, 0.268)
O (0.732, 0.268, 0.732)
O (0.732, 0.732, 0.268)



3.
The following is a DFT calculation (PBE) of an optimized crystal structure of MgCd.

* size of the total moment: 0.000 μB/f.u.
* calculated formation energy: 3.5 kcal/mol of atoms

abc: 4.197 4.197 4.197
angles: 60.00 60.00 60.00
Sites, in units of the cell vectors:
Mg (0.000, 0.000, 0.000)
Cd (0.500, 0.500, 0.500)



4.
The following is a DFT calculation (PBE) of an optimized crystal structure of GdBO3.

* calculated formation energy: -80.7 kcal/mol of atoms

abc: 6.678 6.678 9.751
angles: 109.71 109.71 60.21
Sites, in units of the cell vectors:
Gd (0.000, 0.500, 0.000)
Gd (0.157, 0.671, 0.501)
Gd (0.329, 0.843, 0.999)
Gd (0.500, 0.000, 0.500)
Gd (0.671, 0.157, 0.001)
Gd (0.843, 0.329, 0.499)
B (0.178, 0.822, 0.250)
B (0.347, 0.416, 0.753)
B (0.416, 0.347, 0.253)
B (0.584, 0.653, 0.747)
B (0.653, 0.584, 0.247)
B (0.822, 0.178, 0.750)
O (0.020, 0.884, 0.110)
O (0.116, 0.980, 0.390)
O (0.190, 0.368, 0.613)
O (0.202, 0.585, 0.252)
O (0.284, 0.464, 0.894)
O (0.368, 0.190, 0.113)
O (0.372, 0.628, 0.750)
O (0.415, 0.798, 0.248)
O (0.464, 0.284, 0.394)
O (0.536, 0.716, 0.606)
O (0.585, 0.202, 0.752)
O (0.628, 0.372, 0.250)
O (0.632, 0.810, 0.887)
O (0.716, 0.536, 0.106)
O (0.798, 0.415, 0.748)
O (0.810, 0.632, 0.387)
O (0.884, 0.020, 0.610)
O (0.980, 0.116, 0.890)



5.
The following is a DFT calculation (PBE) of an optimized crystal structure of LaGePS2O12.

* size of the total moment: 0.000 μB/f.u.
* calculated formation energy: -54.6 kcal/mol of atoms

abc: 9.041 9.041 21.596
angles: 91.53 91.53 58.65
Sites, in units of the cell vectors:
La (0.006, 0.994, 0.500)
La (0.336, 0.351, 0.332)
La (0.351, 0.336, 0.832)
La (0.667, 0.685, 0.667)
La (0.685, 0.667, 0.167)
La (0.994, 0.006, 0.000)
Ge (0.027, 0.980, 0.239)
Ge (0.330, 0.335, 0.572)
Ge (0.335, 0.330, 0.072)
Ge (0.664, 0.670, 0.908)
Ge (0.670, 0.664, 0.408)
Ge (0.980, 0.027, 0.739)
P (0.038, 0.571, 0.464)
P (0.072, 0.703, 0.129)
P (0.390, 0.728, 0.296)
P (0.571, 0.038, 0.964)
P (0.703, 0.072, 0.629)
P (0.728, 0.390, 0.796)
S (0.033, 0.404, 0.963)
S (0.069, 0.253, 0.630)
S (0.248, 0.699, 0.632)
S (0.253, 0.069, 0.130)
S (0.349, 0.923, 0.797)
S (0.402, 0.586, 0.965)
S (0.404, 0.033, 0.463)
S (0.586, 0.402, 0.465)
S (0.699, 0.248, 0.132)
S (0.745, 0.920, 0.298)
S (0.920, 0.745, 0.798)
S (0.923, 0.349, 0.297)
O (0.035, 0.817, 0.074)
O (0.048, 0.175, 0.574)
O (0.081, 0.156, 0.687)
O (0.103, 0.295, 0.312)
O (0.105, 0.614, 0.806)
O (0.105, 0.789, 0.189)
O (0.118, 0.428, 0.021)
O (0.128, 0.803, 0.684)
O (0.135, 0.376, 0.909)
O (0.137, 0.441, 0.520)
O (0.145, 0.507, 0.406)
O (0.156, 0.081, 0.187)
O (0.175, 0.048, 0.074)
O (0.188, 0.911, 0.789)
O (0.201, 0.797, 0.575)
O (0.212, 0.905, 0.293)
O (0.224, 0.545, 0.625)
O (0.242, 0.245, 0.130)
O (0.245, 0.242, 0.630)
O (0.251, 0.526, 0.122)
O (0.268, 0.993, 0.470)
O (0.278, 0.771, 0.976)
O (0.295, 0.103, 0.812)
O (0.357, 0.530, 0.908)
O (0.357, 0.581, 0.305)
O (0.376, 0.135, 0.409)
O (0.422, 0.476, 0.018)
O (0.428, 0.118, 0.521)
O (0.430, 0.635, 0.647)
O (0.438, 0.934, 0.134)
O (0.441, 0.137, 0.020)
O (0.441, 0.802, 0.850)
O (0.451, 0.867, 0.741)
O (0.476, 0.422, 0.518)
O (0.481, 0.759, 0.355)
O (0.494, 0.701, 0.239)
O (0.507, 0.145, 0.906)
O (0.526, 0.251, 0.622)
O (0.530, 0.357, 0.408)
O (0.545, 0.224, 0.125)
O (0.562, 0.868, 0.955)
O (0.564, 0.582, 0.461)
O (0.581, 0.357, 0.805)
O (0.581, 0.865, 0.461)
O (0.582, 0.564, 0.961)
O (0.614, 0.105, 0.306)
O (0.635, 0.430, 0.147)
O (0.663, 0.930, 0.638)
O (0.701, 0.494, 0.739)
O (0.712, 0.854, 0.241)
O (0.756, 0.986, 0.980)
O (0.759, 0.481, 0.855)
O (0.762, 0.817, 0.353)
O (0.771, 0.278, 0.476)
O (0.789, 0.105, 0.689)
O (0.797, 0.201, 0.075)
O (0.802, 0.441, 0.350)
O (0.803, 0.128, 0.184)
O (0.817, 0.035, 0.574)
O (0.817, 0.762, 0.853)
O (0.854, 0.712, 0.741)
O (0.865, 0.581, 0.961)
O (0.867, 0.451, 0.241)
O (0.868, 0.562, 0.455)
O (0.902, 0.923, 0.795)
O (0.905, 0.212, 0.793)
O (0.911, 0.188, 0.289)
O (0.923, 0.902, 0.295)
O (0.930, 0.663, 0.138)
O (0.934, 0.438, 0.634)
O (0.986, 0.756, 0.480)
O (0.993, 0.268, 0.970)



6.
The following is a DFT calculation (PBE) of an optimized crystal structure of Ag6GeS4Cl2.

* size of the total moment: 0.000 μB/f.u.
* calculated formation energy: -11.8 kcal/mol of atoms

abc: 6.485 7.710 23.249
angles: 90.00 90.00 90.00
Sites, in units of the cell vectors:
Ag (0.000, 0.000, 0.000)
Ag (0.000, 0.500, 0.000)
Ag (0.009, 0.058, 0.430)
Ag (0.009, 0.442, 0.430)
Ag (0.060, 0.750, 0.145)
Ag (0.098, 0.039, 0.281)
Ag (0.098, 0.461, 0.281)
Ag (0.402, 0.539, 0.781)
Ag (0.402, 0.961, 0.781)
Ag (0.440, 0.250, 0.645)
Ag (0.491, 0.558, 0.930)
Ag (0.491, 0.942, 0.930)
Ag (0.500, 0.000, 0.500)
Ag (0.500, 0.500, 0.500)
Ag (0.509, 0.058, 0.070)
Ag (0.509, 0.442, 0.070)
Ag (0.560, 0.750, 0.355)
Ag (0.598, 0.039, 0.219)
Ag (0.598, 0.461, 0.219)
Ag (0.902, 0.539, 0.719)
Ag (0.902, 0.961, 0.719)
Ag (0.940, 0.250, 0.855)
Ag (0.991, 0.558, 0.570)
Ag (0.991, 0.942, 0.570)
Ge (0.012, 0.250, 0.131)
Ge (0.488, 0.750, 0.631)
Ge (0.512, 0.250, 0.369)
Ge (0.988, 0.750, 0.869)
S (0.178, 0.506, 0.873)
S (0.178, 0.994, 0.873)
S (0.196, 0.250, 0.046)
S (0.227, 0.250, 0.206)
S (0.273, 0.750, 0.706)
S (0.304, 0.750, 0.546)
S (0.322, 0.006, 0.373)
S (0.322, 0.494, 0.373)
S (0.678, 0.506, 0.627)
S (0.678, 0.994, 0.627)
S (0.696, 0.250, 0.454)
S (0.727, 0.250, 0.294)
S (0.773, 0.750, 0.794)
S (0.804, 0.750, 0.954)
S (0.822, 0.006, 0.127)
S (0.822, 0.494, 0.127)
Cl (0.125, 0.250, 0.711)
Cl (0.169, 0.250, 0.543)
Cl (0.331, 0.750, 0.043)
Cl (0.375, 0.750, 0.211)
Cl (0.625, 0.250, 0.789)
Cl (0.669, 0.250, 0.957)
Cl (0.831, 0.750, 0.457)
Cl (0.875, 0.750, 0.289)



7.
The following is a DFT calculation (PBE) of an optimized crystal structure of PmGdAl2.

* size of the total moment: 7.048 μB/f.u.
* calculated formation energy: -8.7 kcal/mol of atoms

abc: 5.177 5.177 5.177
angles: 60.00 60.00 60.00
Sites, in units of the cell vectors:
Pm (0.000, 0.000, 0.000)
Gd (0.500, 0.500, 0.500)
Al (0.250, 0.250, 0.250)
Al (0.750, 0.750, 0.750)



8.
The following is a DFT calculation (PBE) of an optimized crystal structure of Nb9AsO25.

* calculated formation energy: -67.0 kcal/mol of atoms

abc: 11.466 11.466 15.981
angles: 134.18 134.18 19.49
Sites, in units of the cell vectors:
Nb (0.000, 0.000, 0.000)
Nb (0.145, 0.069, 0.325)
Nb (0.146, 0.085, 0.789)
Nb (0.256, 0.180, 0.111)
Nb (0.371, 0.283, 0.442)
Nb (0.717, 0.629, 0.558)
Nb (0.820, 0.744, 0.889)
Nb (0.915, 0.854, 0.211)
Nb (0.931, 0.855, 0.675)
As (0.288, 0.712, 0.500)
O (0.026, 0.951, 0.269)
O (0.049, 0.974, 0.731)
O (0.086, 0.015, 0.167)
O (0.123, 0.026, 0.626)
O (0.152, 0.081, 0.066)
O (0.192, 0.123, 0.510)
O (0.217, 0.134, 0.958)
O (0.251, 0.184, 0.393)
O (0.288, 0.210, 0.861)
O (0.319, 0.243, 0.293)
O (0.394, 0.312, 0.195)
O (0.425, 0.352, 0.637)
O (0.476, 0.422, 0.523)
O (0.528, 0.472, 0.000)
O (0.578, 0.524, 0.477)
O (0.648, 0.575, 0.363)
O (0.688, 0.606, 0.805)
O (0.757, 0.681, 0.707)
O (0.790, 0.712, 0.139)
O (0.816, 0.749, 0.607)
O (0.866, 0.783, 0.042)
O (0.877, 0.808, 0.490)
O (0.919, 0.848, 0.934)
O (0.974, 0.877, 0.374)
O (0.985, 0.914, 0.833)



9.
The following is a DFT calculation (PBE) of an optimized crystal structure of ZrCrFe.

* size of the total moment: 1.206 μB/f.u.
* calculated formation energy: -2.9 kcal/mol of atoms

abc: 8.095 5.034 5.034
angles: 59.39 90.00 90.00
Sites, in units of the cell vectors:
Zr (0.187, 0.000, 0.000)
Zr (0.311, 0.332, 0.332)
Zr (0.689, 0.332, 0.332)
Zr (0.813, 0.000, 0.000)
Cr (0.253, 0.666, 0.666)
Cr (0.500, 0.327, 0.835)
Cr (0.500, 0.835, 0.327)
Cr (0.747, 0.666, 0.666)
Fe (0.000, 0.001, 0.499)
Fe (0.000, 0.497, 0.497)
Fe (0.000, 0.499, 0.001)
Fe (0.500, 0.837, 0.837)



10.
The following is a DFT calculation (PBE) of an optimized crystal structure of K2LiYCl6.

* size of the total moment: 0.000 μB/f.u.
* calculated formation energy: -56.1 kcal/mol of atoms

abc: 7.356 7.356 7.356
angles: 60.00 60.00 60.00
Sites, in units of the cell vectors:
K (0.250, 0.250, 0.250)
K (0.750, 0.750, 0.750)
Li (0.000, 0.000, 0.000)
Y (0.500, 0.500, 0.500)
Cl (0.247, 0.247, 0.753)
Cl (0.247, 0.753, 0.247)
Cl (0.247, 0.753, 0.753)
Cl (0.753, 0.247, 0.247)
Cl (0.753, 0.247, 0.753)
Cl (0.753, 0.753, 0.247)



11.
The following is a DFT calculation (PBE) of an optimized crystal structure of Ti2NiMo.

* calculated formation energy: -6.6 kcal/mol of atoms

abc: 4.356 4.356 4.356
angles: 60.00 60.00 60.00
Sites, in units of the cell vectors:
Ti (0.250, 0.250, 0.250)
Ti (0.750, 0.750, 0.750)
Ni (0.000, 0.000, 0.000)
Mo (0.500, 0.500, 0.500)



12.
The following is a DFT calculation (PBE) of an optimized crystal structure of LiSnP4O12.

* size of the total moment: 1.001 μB/f.u.
* calculated formation energy: -57.5 kcal/mol of atoms

abc: 7.426 7.447 10.037
angles: 99.16 109.82 109.02
Sites, in units of the cell vectors:
Li (0.000, 0.000, 0.000)
Li (0.011, 0.506, 0.504)
Sn (0.207, 0.953, 0.753)
Sn (0.806, 0.054, 0.252)
P (0.004, 0.690, 0.200)
P (0.008, 0.314, 0.803)
P (0.263, 0.719, 0.021)
P (0.309, 0.268, 0.524)
P (0.495, 0.300, 0.304)
P (0.518, 0.705, 0.700)
P (0.702, 0.736, 0.480)
P (0.750, 0.285, 0.980)
O (0.042, 0.128, 0.827)
O (0.047, 0.656, 0.346)
O (0.126, 0.304, 0.425)
O (0.127, 0.801, 0.921)
O (0.195, 0.692, 0.155)
O (0.213, 0.496, 0.937)
O (0.258, 0.097, 0.586)
O (0.307, 0.715, 0.677)
O (0.314, 0.194, 0.158)
O (0.446, 0.229, 0.438)
O (0.473, 0.469, 0.657)
O (0.496, 0.832, 0.083)
O (0.516, 0.176, 0.918)
O (0.539, 0.534, 0.348)
O (0.564, 0.773, 0.565)
O (0.698, 0.813, 0.845)
O (0.706, 0.292, 0.328)
O (0.746, 0.904, 0.414)
O (0.800, 0.507, 0.067)
O (0.816, 0.316, 0.846)
O (0.884, 0.200, 0.078)
O (0.886, 0.703, 0.580)
O (0.965, 0.874, 0.174)
O (0.969, 0.350, 0.657)